Density functional theory data (GGA-PBE) for a relaxed structure of RbGaBP2HO9.

Computed properties:
The calculation puts the calculated volume at 762.1 Å³ per cell. The MP2020-corrected energy comes out at -430.92 eV per cell. Its space group is No. 14.

Cell: 8.5357 9.4679 9.6886 Å, 76.74 90.00 90.00°
Atoms (fractional coordinates):
O 0.6945 0.0829 0.2491
B 0.0509 0.8364 0.3030
Rb 0.1071 0.6918 0.9373
Rb 0.6071 0.3082 0.5627
O 0.0885 0.0842 0.7653
P 0.5637 0.5725 0.7926
O 0.4115 0.0842 0.2653
Ga 0.1566 0.2981 0.4335
P 0.7652 0.9164 0.7792
O 0.1299 0.1539 0.3144
O 0.8380 0.5808 0.4233
O 0.8414 0.6001 0.1534
O 0.7129 0.8504 0.4374
O 0.4567 0.8088 0.9614
O 0.5700 0.3069 0.2295
P 0.0637 0.4275 0.7074
O 0.4846 0.4249 0.8038
O 0.2871 0.1496 0.5626
H 0.9344 0.1060 0.5016
H 0.5656 0.1060 0.0016
H 0.0656 0.8940 0.4984
O 0.3380 0.4192 0.0767
O 0.1945 0.9171 0.2509
O 0.3414 0.3999 0.3466
O 0.3055 0.9171 0.7509
O 0.4300 0.6931 0.7705
O 0.1620 0.4192 0.5767
O 0.3701 0.1539 0.8144
O 0.6620 0.5808 0.9233
O 0.0154 0.4249 0.3038
O 0.5885 0.9158 0.7347
O 0.8701 0.8461 0.6856
O 0.6586 0.6001 0.6534
O 0.9846 0.5751 0.6962
O 0.2129 0.1496 0.0626
O 0.0700 0.6931 0.2705
B 0.4491 0.8364 0.8030
Ga 0.8434 0.7019 0.5665
O 0.7871 0.8504 0.9374
H 0.4344 0.8940 0.9984
P 0.2652 0.0836 0.7208
P 0.9363 0.5725 0.2926
O 0.9567 0.1912 0.5386
O 0.1586 0.3999 0.8466
O 0.9300 0.3069 0.7295
Rb 0.8929 0.3082 0.0627
O 0.0433 0.8088 0.4614
O 0.8055 0.0829 0.7491
O 0.9115 0.9158 0.2347
O 0.6299 0.8461 0.1856
O 0.5154 0.5751 0.1962
P 0.7348 0.9164 0.2792
B 0.9491 0.1636 0.6970
Ga 0.3434 0.2981 0.9335
P 0.4363 0.4275 0.2074
P 0.2348 0.0836 0.2208
Ga 0.6566 0.7019 0.0665
B 0.5509 0.1636 0.1970
O 0.5433 0.1912 0.0386
Rb 0.3929 0.6918 0.4373



Density functional theory data (GGA-PBE) for a relaxed structure of Na4Ti11O24.

Computed properties:
The calculation puts the calculated volume at 490.3 Å³ per cell. The MP2020-corrected energy comes out at -335.30 eV per cell. Its space group is No. 8. The total magnetization is 0.0 μB/f.u.

Cell: 10.5034 10.5034 6.1552 Å, 73.96 73.96 119.97°
Atoms (fractional coordinates):
O 0.6055 0.2616 0.6231
O 0.2695 0.5996 0.1958
Na 0.7091 0.7091 0.8743
O 0.5916 0.7451 0.1962
O 0.6733 0.8255 0.5541
Ti 0.3758 0.0384 0.3726
O 0.8173 0.1465 0.5548
Na 0.0919 0.0919 0.7282
O 0.7451 0.5916 0.1962
O 0.4766 0.4766 0.6011
O 0.1465 0.8173 0.5548
Ti 0.7100 0.2082 0.3738
Ti 0.5390 0.3784 0.3928
Ti 0.0377 0.3767 0.8792
O 0.1028 0.3067 0.1204
Na 0.7425 0.4194 0.7689
Ti 0.3767 0.0377 0.8792
O 0.3171 0.1118 0.6276
O 0.3067 0.1028 0.1204
Ti 0.7069 0.7069 0.3696
O 0.9424 0.4294 0.1575
O 0.4276 0.4276 0.2361
O 0.4294 0.9424 0.1575
O 0.9860 0.9860 0.5146
O 0.1548 0.8107 0.1259
Ti 0.0394 0.8756 0.3568
O 0.8255 0.6733 0.5541
O 0.8107 0.1548 0.1259
O 0.1118 0.3171 0.6276
Ti 0.3784 0.5390 0.3928
Ti 0.8756 0.0394 0.3568
Ti 0.0384 0.3758 0.3726
O 0.4740 0.9881 0.5934
O 0.9881 0.4740 0.5934
Ti 0.2082 0.7100 0.3738
Na 0.4194 0.7425 0.7689
O 0.2616 0.6055 0.6231
O 0.5996 0.2695 0.1958
O 0.9409 0.9409 0.1503



Density functional theory data (GGA-PBE) for a relaxed structure of Ba3Co2N4.

Computed properties:
The calculation puts the energy above the most stable polymorph in this dataset at 0.000 eV/atom. The calculation puts the calculated volume at 631.4 Å³ per cell. The MP2020-corrected energy comes out at -226.77 eV per cell. Its space group is No. 52. The total magnetization is 2.0 μB/f.u.

Cell: 6.1505 10.2507 10.0140 Å, 90.00 90.00 90.00°
Atoms (fractional coordinates):
Co 0.6493 0.2500 0.7500
Co 0.2500 0.0000 0.2339
Co 0.1493 0.2500 0.2500
N 0.5217 0.4052 0.8221
N 0.9783 0.9052 0.6779
Ba 0.7500 0.0000 0.0976
N 0.0217 0.4052 0.1779
N 0.4783 0.9052 0.3221
Ba 0.3999 0.8427 0.5850
Co 0.2500 0.5000 0.2661
N 0.6682 0.8556 0.8645
N 0.3318 0.3556 0.3645
Ba 0.8999 0.8427 0.4150
Co 0.7500 0.0000 0.7661
Co 0.7500 0.5000 0.7339
N 0.8318 0.3556 0.6355
N 0.4783 0.5948 0.1779
Ba 0.1001 0.3427 0.9150
N 0.1682 0.6444 0.3645
N 0.6682 0.6444 0.6355
N 0.3318 0.1444 0.1355
Ba 0.1001 0.1573 0.5850
N 0.0217 0.0948 0.3221
N 0.1682 0.8556 0.1355
Ba 0.6001 0.3427 0.0850
Ba 0.2500 0.0000 0.9024
N 0.9783 0.5948 0.8221
N 0.5217 0.0948 0.6779
Co 0.3507 0.7500 0.2500
Ba 0.6001 0.1573 0.4150
Ba 0.8999 0.6573 0.0850
Co 0.8507 0.7500 0.7500
N 0.8318 0.1444 0.8645
Ba 0.3999 0.6573 0.9150
Ba 0.2500 0.5000 0.5976
Ba 0.7500 0.5000 0.4024



Density functional theory data (GGA-PBE) for a relaxed structure of Zr2SeN2.

Computed properties:
The calculation puts the calculated volume at 78.5 Å³ per cell. The MP2020-corrected energy comes out at -45.76 eV per cell. Its space group is No. 164.

Cell: 3.6770 3.6770 6.7069 Å, 90.00 90.00 120.00°
Atoms (fractional coordinates):
Zr 0.6667 0.3333 0.6957
Se 0.0000 0.0000 0.0000
N 0.6667 0.3333 0.3682
Zr 0.3333 0.6667 0.3043
N 0.3333 0.6667 0.6318



Density functional theory data (GGA-PBE) for a relaxed structure of LiNbO3.

Computed properties:
The calculation puts the calculated volume at 778.3 Å³ per cell. The MP2020-corrected energy comes out at -578.44 eV per cell. Its space group is No. 1. The total magnetization is 0.0 μB/f.u.

Cell: 5.2299 5.5796 30.2922 Å, 87.38 85.06 62.10°
Atoms (fractional coordinates):
Li 0.9908 0.4163 0.6010
Nb 0.8802 0.5265 0.7121
O 0.0154 0.6856 0.0363
O 0.1835 0.7256 0.5177
Li 0.7026 0.5673 0.0295
Nb 0.4487 0.2532 0.8543
O 0.0408 0.2969 0.2320
Nb 0.1667 0.8841 0.7839
O 0.4436 0.9678 0.8937
O 0.9340 0.7265 0.7679
O 0.8573 0.0866 0.8391
Li 0.2773 0.7736 0.6727
O 0.4296 0.7981 0.7324
Nb 0.7386 0.0962 0.4262
O 0.6930 0.4709 0.3946
O 0.9174 0.8533 0.9465
Nb 0.5942 0.6701 0.1408
O 0.2644 0.1851 0.5375
O 0.2199 0.5820 0.3391
O 0.5731 0.2250 0.2677
Nb 0.3100 0.8105 0.5691
Li 0.5624 0.1299 0.7440
O 0.4123 0.6064 0.8218
Li 0.1347 0.3449 0.3867
O 0.0746 0.1555 0.0542
Li 0.3156 0.3994 0.9670
O 0.7159 0.6536 0.5534
Nb 0.0195 0.9720 0.9976
O 0.0006 0.5144 0.1252
O 0.5847 0.3998 0.1804
Nb 0.8816 0.0254 0.2120
Li 0.9911 0.9163 0.1009
O 0.8588 0.0827 0.5892
O 0.5256 0.4226 0.9106
O 0.1558 0.1136 0.3232
O 0.9730 0.3295 0.9654
Li 0.4195 0.7020 0.4581
Li 0.2769 0.2733 0.1726
Nb 0.0248 0.4534 0.4977
Li 0.7061 0.0591 0.5296
O 0.7547 0.4401 0.6607
O 0.8353 0.8998 0.6804
O 0.7913 0.2963 0.4819
O 0.4680 0.5853 0.0895
O 0.1445 0.9393 0.4105
O 0.3284 0.1530 0.8036
O 0.5494 0.0437 0.1090
O 0.1444 0.9403 0.1607
O 0.6480 0.8682 0.1965
O 0.8706 0.2571 0.7518
Nb 0.5957 0.1682 0.6406
O 0.0013 0.4884 0.8752
O 0.6121 0.0113 0.3748
O 0.2863 0.3684 0.6963
O 0.3628 0.0106 0.6248
O 0.2875 0.3684 0.4462
O 0.7273 0.8279 0.4661
O 0.1215 0.7567 0.2518
O 0.4278 0.7768 0.9824
Nb 0.3065 0.3163 0.0698
O 0.2989 0.5420 0.6089
Nb 0.7204 0.6250 0.9247
O 0.7162 0.6541 0.3034
Li 0.8480 0.9877 0.3153
Nb 0.4534 0.7391 0.3548
O 0.5679 0.2321 0.0182
Nb 0.1672 0.3820 0.2834
Li 0.5633 0.6304 0.2439
Li 0.8486 0.4886 0.8147
Li 0.0270 0.0486 0.8971



Density functional theory data (GGA-PBE) for a relaxed structure of LiTiP4O12.

Computed properties:
The calculation puts the energy above the most stable polymorph in this dataset at 0.068 eV/atom. The calculation puts the calculated volume at 476.0 Å³ per cell. The MP2020-corrected energy comes out at -278.41 eV per cell. Its space group is No. 4. The total magnetization is 1.0 μB/f.u.

Cell: 8.4412 7.3266 7.7201 Å, 85.56 90.00 90.00°
Atoms (fractional coordinates):
P 0.7807 0.0783 0.0333
O 0.1754 0.0843 0.9605
O 0.7851 0.3731 0.6514
O 0.3796 0.8828 0.1256
O 0.7283 0.8309 0.3898
O 0.2851 0.6269 0.3486
P 0.8844 0.9295 0.3798
O 0.6608 0.2949 0.3695
O 0.4066 0.2762 0.1938
P 0.2807 0.9217 0.9667
P 0.0680 0.6443 0.8102
O 0.8976 0.0620 0.2012
P 0.3844 0.0705 0.6202
Ti 0.5043 0.7528 0.3180
P 0.1309 0.6272 0.4440
O 0.5850 0.5616 0.1513
O 0.5445 0.5524 0.5354
O 0.0850 0.4384 0.8487
Li 0.6955 0.7480 0.8684
O 0.5222 0.2160 0.6561
Li 0.1955 0.2520 0.1316
O 0.4305 0.9570 0.4765
O 0.2283 0.1691 0.6102
O 0.6754 0.9157 0.0395
O 0.9066 0.7238 0.8062
O 0.1841 0.7352 0.9438
Ti 0.0043 0.2472 0.6820
O 0.3976 0.9380 0.7988
O 0.8796 0.1172 0.8744
P 0.6309 0.3728 0.5560
O 0.0445 0.4476 0.4646
O 0.6841 0.2648 0.0562
P 0.5680 0.3557 0.1898
O 0.9305 0.0430 0.5235
O 0.0222 0.7840 0.3439
O 0.1608 0.7051 0.6305



Density functional theory data (GGA-PBE) for a relaxed structure of Cs3CdI5.

Computed properties:
The calculation puts the calculated volume at 1915.8 Å³ per cell. The MP2020-corrected energy comes out at -97.68 eV per cell. Its space group is No. 62.

Cell: 10.3302 12.1000 15.3267 Å, 90.00 90.00 90.00°
Atoms (fractional coordinates):
Cs 0.5790 0.7500 0.0502
I 0.0433 0.2500 0.0087
I 0.1866 0.0516 0.4377
I 0.8134 0.5516 0.5623
Cs 0.9212 0.0185 0.8292
I 0.9567 0.7500 0.9913
I 0.8246 0.7500 0.2643
I 0.1866 0.4484 0.4377
Cs 0.0788 0.5185 0.1708
I 0.3246 0.7500 0.2357
Cs 0.0790 0.7500 0.4498
Cs 0.9210 0.2500 0.5502
I 0.3134 0.5516 0.9377
Cs 0.4212 0.0185 0.6708
I 0.8700 0.2500 0.2886
Cs 0.9212 0.4815 0.8292
I 0.6300 0.7500 0.7886
Cs 0.4212 0.4815 0.6708
Cs 0.4210 0.2500 0.9498
I 0.6866 0.4484 0.0623
I 0.1300 0.7500 0.7114
I 0.6866 0.0516 0.0623
I 0.3134 0.9484 0.9377
I 0.5433 0.2500 0.4913
I 0.3700 0.2500 0.2114
Cd 0.6893 0.7500 0.6091
I 0.1754 0.2500 0.7357
Cs 0.5788 0.9815 0.3292
Cs 0.0788 0.9815 0.1708
I 0.4567 0.7500 0.5087
Cs 0.5788 0.5185 0.3292
Cd 0.3107 0.2500 0.3909
Cd 0.8107 0.2500 0.1091
I 0.6754 0.2500 0.7643
I 0.8134 0.9484 0.5623
Cd 0.1893 0.7500 0.8909



Density functional theory data (GGA-PBE) for a relaxed structure of KNb2PO8.

Computed properties:
The calculation puts the calculated volume at 550.9 Å³ per cell. The MP2020-corrected energy comes out at -303.58 eV per cell. Its space group is No. 146. The total magnetization is 0.0 μB/f.u.

Cell: 8.5224 8.5224 8.5224 Å, 104.13 104.13 104.13°
Atoms (fractional coordinates):
P 0.2765 0.4997 0.7245
K 0.4045 0.0913 0.6890
O 0.6847 0.9370 0.7938
Nb 0.3502 0.0334 0.1582
O 0.4159 0.8677 0.2923
O 0.0256 0.5008 0.9758
O 0.2923 0.4159 0.8677
O 0.7938 0.6847 0.9370
Nb 0.9638 0.6468 0.8405
O 0.7082 0.1328 0.5829
P 0.4997 0.7245 0.2765
O 0.3578 0.5538 0.2357
Nb 0.0334 0.1582 0.3502
P 0.7245 0.2765 0.4997
O 0.7662 0.4471 0.6421
O 0.2357 0.3578 0.5538
O 0.3171 0.2071 0.0634
K 0.0913 0.6890 0.4045
O 0.5538 0.2357 0.3578
Nb 0.8405 0.9638 0.6468
K 0.6890 0.4045 0.0913
O 0.0634 0.3171 0.2071
O 0.0001 0.1534 0.8468
O 0.9370 0.7938 0.6847
O 0.5829 0.7082 0.1328
O 0.8468 0.0001 0.1534
O 0.1534 0.8468 0.0001
O 0.4471 0.6421 0.7662
Nb 0.1582 0.3502 0.0334
O 0.2071 0.0634 0.3171
O 0.5008 0.9758 0.0256
O 0.1328 0.5829 0.7082
O 0.8677 0.2923 0.4159
Nb 0.6468 0.8405 0.9638
O 0.6421 0.7662 0.4471
O 0.9758 0.0256 0.5008



Density functional theory data (GGA-PBE) for a relaxed structure of Sr2Ta2O7.

Computed properties:
The calculation puts the calculated volume at 317.4 Å³ per cell. The MP2020-corrected energy comes out at -200.50 eV per cell. Its space group is No. 36.

Cell: 13.9664 13.9664 5.7545 Å, 90.00 90.00 163.57°
Atoms (fractional coordinates):
O 0.2044 0.7956 0.9873
O 0.3509 0.6491 0.2392
O 0.8991 0.1009 0.9872
O 0.5470 0.4530 0.2366
O 0.2072 0.7928 0.5111
O 0.7928 0.2072 0.0111
O 0.9029 0.0971 0.4722
O 0.9981 0.0019 0.9956
O 0.0019 0.9981 0.4956
Sr 0.2855 0.7145 0.7502
O 0.0971 0.9029 0.9722
O 0.7956 0.2044 0.4873
Sr 0.5534 0.4466 0.7375
Sr 0.4466 0.5534 0.2375
Ta 0.8409 0.1591 0.2437
Sr 0.7145 0.2855 0.2502
Ta 0.1591 0.8409 0.7437
O 0.1009 0.8991 0.4872
O 0.4530 0.5470 0.7366
O 0.6491 0.3509 0.7392
Ta 0.0547 0.9453 0.2396
Ta 0.9453 0.0547 0.7396